## SmYFe4 (PBE)

Data for a relaxed structure of SmYFe4.

```
SmYFe4
1.0
0.000 3.692 3.692
3.692 0.000 3.692
3.692 3.692 0.000
Sm Y Fe
1 1 4
Cartesian
0.000 0.000 0.000
1.846 1.846 1.846
4.615 2.769 2.769
2.769 4.615 2.769
2.769 2.769 4.615
4.615 4.615 4.615
```

calculated volume: 16.8 A^3/atom
formation enthalpy at 0 K: 0.211 eV per atom
ρ: 7.63 Mg/m³
E: -43.8 eV/cell